No. 1
Computed, not measured: a geometry-optimized CeErMg2 structure at the PBE level of DFT.

Output
size of the total moment: 0.95 μB per formula unit
calculated formation energy: -8 meV/atom
energy: -54.927 eV per cell

a = 7.573 Å, b = 7.573 Å, c = 7.573 Å
α = 90.00°, β = 90.00°, γ = 90.00°
Space group Fm-3m (No. 225)
Asymmetric unit:
Ce  0.000  0.000  0.000 x4
Er  0.000  0.000  0.500 x4
Mg  0.250  0.250  0.250 x8

No. 2
Computed, not measured: a geometry-optimized CeErS3 structure at the PBE level of DFT.

Output
ΔE to the lowest computed polymorph: 4 meV per atom
size of the total moment: 0.93 μB per formula unit
MP2020-corrected energy: -6.923 eV/atom
calculated formation energy: -2341 meV/atom
energy: -397.267 eV per cell

a = 16.466 Å, b = 3.952 Å, c = 21.169 Å
α = 90.00°, β = 90.00°, γ = 90.00°
Space group Pnma (No. 62)
Asymmetric unit:
Ce  0.164  0.250  0.245 x4
Ce  0.170  0.750  0.587 x4
Ce  0.196  0.250  0.922 x4
Er  0.056  0.750  0.070 x4
Er  0.066  0.250  0.421 x4
Er  0.095  0.250  0.752 x4
S  0.038  0.750  0.682 x4
S  0.045  0.250  0.553 x4
S  0.055  0.750  0.195 x4
S  0.061  0.750  0.941 x4
S  0.147  0.750  0.351 x4
S  0.160  0.250  0.064 x4
S  0.180  0.750  0.817 x4
S  0.211  0.250  0.484 x4
S  0.229  0.250  0.678 x4

No. 3
Computed, not measured: a geometry-optimized CeEr3S6 structure at the PBE level of DFT.

Output
MP2020-corrected energy: -6.815 eV/atom
calculated formation energy: -2370 meV/atom
energy: -130.273 eV per cell

a = 11.037 Å, b = 3.967 Å, c = 11.274 Å
α = 90.00°, β = 108.80°, γ = 90.00°
Space group P2_1/m (No. 11)
Asymmetric unit:
Ce  0.049  0.250  0.194 x2
Er  0.160  0.250  0.586 x2
Er  0.320  0.750  0.000 x2
Er  0.443  0.250  0.333 x2
S  0.081  0.750  0.405 x2
S  0.118  0.250  0.963 x2
S  0.196  0.750  0.750 x2
S  0.267  0.750  0.230 x2
S  0.393  0.250  0.558 x2
S  0.479  0.250  0.112 x2